<a>
Entry from the Materials Project database: a geometry-optimized Al2CuO4 structure (PBE).

Cell lengths 19.2154, 19.2154, 19.2154 Å; angles 17.20, 17.20, 17.20 degrees
Positions (direct):
Al: 0.0000 0.0000 0.0000
Al: 0.0946 0.0946 0.0946
Al: 0.1239 0.1239 0.6273
Al: 0.1239 0.6273 0.1239
Al: 0.1299 0.6221 0.6221
Al: 0.3721 0.3721 0.8801
Al: 0.3721 0.8801 0.3721
Al: 0.3766 0.8736 0.8736
Al: 0.5937 0.5937 0.5937
Al: 0.6221 0.1299 0.6221
Al: 0.6221 0.6221 0.1299
Al: 0.6273 0.1239 0.1239
Al: 0.8443 0.8443 0.8443
Al: 0.8736 0.3766 0.8736
Al: 0.8736 0.8736 0.3766
Al: 0.8801 0.3721 0.3721
Cu: 0.1559 0.1559 0.1559
Cu: 0.2492 0.2492 0.2492
Cu: 0.3438 0.3438 0.3438
Cu: 0.4055 0.4055 0.4055
Cu: 0.4990 0.4990 0.4990
Cu: 0.6564 0.6564 0.6564
Cu: 0.7487 0.7487 0.7487
Cu: 0.9065 0.9065 0.9065
O: 0.0324 0.5730 0.5730
O: 0.0623 0.0623 0.0623
O: 0.0737 0.0737 0.5317
O: 0.0737 0.5317 0.0737
O: 0.1677 0.1677 0.7319
O: 0.1677 0.7319 0.1677
O: 0.1906 0.1906 0.1906
O: 0.1992 0.6847 0.6847
O: 0.2712 0.8315 0.8315
O: 0.3070 0.3070 0.3070
O: 0.3239 0.3239 0.7811
O: 0.3239 0.7811 0.3239
O: 0.4369 0.4369 0.9433
O: 0.4369 0.9433 0.4369
O: 0.4404 0.4404 0.4404
O: 0.4511 0.9341 0.9341
O: 0.5317 0.0737 0.0737
O: 0.5604 0.5604 0.5604
O: 0.5730 0.0324 0.5730
O: 0.5730 0.5730 0.0324
O: 0.6847 0.1992 0.6847
O: 0.6847 0.6847 0.1992
O: 0.6908 0.6908 0.6908
O: 0.7319 0.1677 0.1677
O: 0.7811 0.3239 0.3239
O: 0.8111 0.8111 0.8111
O: 0.8315 0.2712 0.8315
O: 0.8315 0.8315 0.2712
O: 0.9341 0.4511 0.9341
O: 0.9341 0.9341 0.4511
O: 0.9411 0.9411 0.9411
O: 0.9433 0.4369 0.4369

- calculated volume (Å³ per atom) = 9.67

<b>
Entry from the Materials Project database: a geometry-optimized Al2CuO4 structure (PBE).

Cell lengths 5.7731, 5.7731, 23.7118 Å; angles 96.55, 96.55, 59.72 degrees
Positions (direct):
Al: 0.0000 0.0000 0.0000
Al: 0.0011 0.0011 0.5015
Al: 0.0013 0.4968 0.5013
Al: 0.0693 0.0693 0.2242
Al: 0.0963 0.6033 0.3019
Al: 0.1989 0.1989 0.5995
Al: 0.2036 0.6951 0.1016
Al: 0.2697 0.2697 0.8253
Al: 0.2953 0.8037 0.9017
Al: 0.3988 0.3988 0.2001
Al: 0.4034 0.8954 0.7015
Al: 0.4968 0.0013 0.5013
Al: 0.6000 0.6000 0.7999
Al: 0.6033 0.0963 0.3019
Al: 0.6697 0.6697 0.0253
Al: 0.6951 0.2036 0.1016
Al: 0.8018 0.8018 0.4027
Al: 0.8037 0.2953 0.9017
Al: 0.8716 0.8716 0.6267
Al: 0.8954 0.4034 0.7015
Cu: 0.1246 0.1246 0.3769
Cu: 0.2040 0.2040 0.1015
Cu: 0.3253 0.3253 0.9764
Cu: 0.4038 0.4038 0.7014
Cu: 0.4758 0.4758 0.4256
Cu: 0.5236 0.5236 0.5751
Cu: 0.6030 0.6030 0.3021
Cu: 0.7251 0.7251 0.1770
Cu: 0.8041 0.8041 0.9018
Cu: 0.9251 0.9251 0.7763
O: 0.0367 0.0367 0.1459
O: 0.0425 0.5273 0.6500
O: 0.0578 0.0578 0.6532
O: 0.0854 0.5440 0.1499
O: 0.1112 0.6733 0.4566
O: 0.1313 0.1313 0.9483
O: 0.1444 0.6869 0.9505
O: 0.1536 0.1536 0.4605
O: 0.2378 0.2378 0.7473
O: 0.2403 0.7292 0.2486
O: 0.2531 0.2531 0.2500
O: 0.2873 0.7438 0.7503
O: 0.3274 0.8887 0.5485
O: 0.3283 0.3283 0.5486
O: 0.3281 0.8436 0.0499
O: 0.3615 0.3615 0.0588
O: 0.4374 0.4374 0.3394
O: 0.4438 0.9279 0.8501
O: 0.4566 0.4566 0.8522
O: 0.4868 0.9465 0.3518
O: 0.5273 0.0425 0.6500
O: 0.5309 0.5309 0.1480
O: 0.5440 0.0854 0.1499
O: 0.5612 0.5612 0.6582
O: 0.6372 0.6372 0.9471
O: 0.6733 0.1112 0.4566
O: 0.6728 0.6728 0.4568
O: 0.6869 0.1444 0.9505
O: 0.7292 0.2403 0.2486
O: 0.7312 0.7312 0.7481
O: 0.7438 0.2873 0.7503
O: 0.7585 0.7585 0.2599
O: 0.8436 0.3281 0.0499
O: 0.8497 0.8497 0.5498
O: 0.8562 0.8562 0.0517
O: 0.8887 0.3274 0.5485
O: 0.9279 0.4438 0.8501
O: 0.9310 0.9310 0.3485
O: 0.9465 0.4868 0.3518
O: 0.9618 0.9618 0.8589

- calculated volume (Å³ per atom) = 9.67

Pick <a>: it beats the second-best structure by 1.0 kJ/mol of atoms.

<a>
Entry from the Materials Project database: a geometry-optimized Al2CuO4 structure (PBE).

Cell lengths 5.7497, 5.7497, 14.1864 Å; angles 90.00, 90.00, 120.00 degrees
Positions (direct):
Al: 0.0000 0.0000 0.0000
Al: 0.0000 0.0000 0.3781
Al: 0.0048 0.5024 0.4989
Al: 0.1655 0.3310 0.8334
Al: 0.1655 0.8345 0.8334
Al: 0.3352 0.1676 0.1652
Al: 0.4976 0.5024 0.4989
Al: 0.4976 0.9952 0.4989
Al: 0.6667 0.3333 0.7083
Al: 0.6690 0.8345 0.8334
Al: 0.8324 0.1676 0.1652
Al: 0.8324 0.6648 0.1652
Cu: 0.0000 0.0000 0.6255
Cu: 0.3333 0.6667 0.0416
Cu: 0.3333 0.6667 0.2889
Cu: 0.3333 0.6667 0.6635
Cu: 0.6667 0.3333 0.3284
Cu: 0.6667 0.3333 0.9587
O: 0.0000 0.0000 0.2487
O: 0.0000 0.0000 0.7643
O: 0.0044 0.5022 0.7562
O: 0.1453 0.2906 0.0898
O: 0.1453 0.8547 0.0898
O: 0.1808 0.3616 0.5722
O: 0.1808 0.8192 0.5722
O: 0.2930 0.1465 0.9124
O: 0.3333 0.6667 0.4286
O: 0.3333 0.6667 0.8948
O: 0.3442 0.1721 0.4254
O: 0.4978 0.5022 0.7562
O: 0.4978 0.9956 0.7562
O: 0.5136 0.0273 0.2380
O: 0.5136 0.4864 0.2380
O: 0.6384 0.8192 0.5722
O: 0.6667 0.3333 0.0966
O: 0.6667 0.3333 0.5755
O: 0.7094 0.8547 0.0898
O: 0.8279 0.1721 0.4254
O: 0.8279 0.6558 0.4254
O: 0.8535 0.1465 0.9124
O: 0.8535 0.7070 0.9124
O: 0.9727 0.4864 0.2380

- calculated volume (Å³ per atom) = 9.67

<b>
Entry from the Materials Project database: a geometry-optimized Al2CuO4 structure (PBE).

Cell lengths 5.8222, 5.8222, 5.8222 Å; angles 122.65, 121.64, 86.32 degrees
Positions (direct):
Al: 0.0000 0.0000 0.0000
Al: 0.3878 0.6378 0.7500
Al: 0.5000 0.0000 0.5000
Al: 0.6122 0.3622 0.2500
Cu: 0.0000 0.0000 0.5000
Cu: 0.0000 0.5000 0.0000
O: 0.2274 0.2308 0.9966
O: 0.2658 0.7692 0.4966
O: 0.2665 0.2506 0.4841
O: 0.2665 0.7824 0.0159
O: 0.7335 0.2176 0.9841
O: 0.7335 0.7494 0.5159
O: 0.7342 0.2308 0.5034
O: 0.7726 0.7692 0.0034

- calculated volume (Å³ per atom) = 9.62

Pick <a>: it beats the second-best structure by 3.5 kJ/mol of atoms.

<a>
Entry from the Materials Project database: a geometry-optimized Al2CuO4 structure (PBE).

Cell lengths 5.7496, 5.7496, 19.2404 Å; angles 99.01, 99.01, 60.01 degrees
Positions (direct):
Al: 0.0000 0.0000 0.0000
Al: 0.9999 0.5006 0.0002
Al: 0.0309 0.0309 0.5932
Al: 0.2210 0.2210 0.1549
Al: 0.2522 0.2522 0.7504
Al: 0.2516 0.7450 0.2494
Al: 0.2523 0.7446 0.7504
Al: 0.5003 0.5003 0.5000
Al: 0.5006 0.9999 0.0002
Al: 0.5008 0.9961 0.4997
Al: 0.6225 0.6225 0.3749
Al: 0.7450 0.2516 0.2494
Al: 0.7446 0.2523 0.7504
Al: 0.7800 0.7800 0.8399
Al: 0.8752 0.8752 0.1220
Al: 0.9961 0.5008 0.4997
Cu: 0.1258 0.1258 0.8785
Cu: 0.2803 0.2803 0.3462
Cu: 0.3748 0.3748 0.6270
Cu: 0.4686 0.4686 0.9089
Cu: 0.5317 0.5317 0.0925
Cu: 0.7174 0.7174 0.6555
Cu: 0.7450 0.7450 0.2489
Cu: 0.9664 0.9664 0.4027
O: 0.0561 0.0561 0.1861
O: 0.0634 0.0634 0.6928
O: 0.0687 0.5810 0.1824
O: 0.0928 0.5496 0.6954
O: 0.1422 0.7094 0.0564
O: 0.1865 0.1865 0.0597
O: 0.1876 0.1876 0.5574
O: 0.1882 0.6805 0.5576
O: 0.3001 0.8459 0.9478
O: 0.3008 0.3008 0.9484
O: 0.3163 0.3163 0.4539
O: 0.3509 0.7913 0.4406
O: 0.4236 0.9413 0.8055
O: 0.4349 0.4349 0.8037
O: 0.4384 0.9006 0.3113
O: 0.4512 0.4512 0.3073
O: 0.5496 0.0928 0.6954
O: 0.5503 0.5503 0.6957
O: 0.5583 0.5583 0.1964
O: 0.5810 0.0687 0.1824
O: 0.6805 0.1882 0.5576
O: 0.6837 0.6837 0.5513
O: 0.7075 0.7075 0.0558
O: 0.7094 0.1422 0.0564
O: 0.7913 0.3509 0.4406
O: 0.7928 0.7928 0.4405
O: 0.8121 0.8121 0.9371
O: 0.8459 0.3001 0.9478
O: 0.9006 0.4384 0.3113
O: 0.9372 0.9372 0.2958
O: 0.9413 0.4236 0.8055
O: 0.9406 0.9406 0.8053

- calculated volume (Å³ per atom) = 9.68

<b>
Entry from the Materials Project database: a geometry-optimized Al2CuO4 structure (PBE).

Cell lengths 5.7671, 5.7671, 5.7671 Å; angles 60.00, 60.00, 60.00 degrees
Positions (direct):
Al: 0.0000 0.0000 0.0000
Al: 0.0000 0.0000 0.5000
Al: 0.0000 0.5000 0.0000
Al: 0.5000 0.0000 0.0000
Cu: 0.3750 0.3750 0.3750
Cu: 0.6250 0.6250 0.6250
O: 0.2059 0.7647 0.7647
O: 0.2353 0.2353 0.2353
O: 0.2353 0.2353 0.7941
O: 0.2353 0.7941 0.2353
O: 0.7647 0.2059 0.7647
O: 0.7647 0.7647 0.2059
O: 0.7647 0.7647 0.7647
O: 0.7941 0.2353 0.2353

- calculated volume (Å³ per atom) = 9.69

Pick <a>: it beats the second-best structure by 0.5 kJ/mol of atoms.

<a>
Entry from the Materials Project database: a geometry-optimized AlCu2O4 structure (PBE).

Cell lengths 5.8315, 5.8315, 5.8315 Å; angles 60.00, 60.00, 60.00 degrees
Positions (direct):
Al: 0.1250 0.1250 0.1250
Al: 0.8750 0.8750 0.8750
Cu: 0.0000 0.5000 0.5000
Cu: 0.5000 0.0000 0.5000
Cu: 0.5000 0.5000 0.0000
Cu: 0.5000 0.5000 0.5000
O: 0.2520 0.2520 0.2520
O: 0.2520 0.2520 0.7441
O: 0.2520 0.7441 0.2520
O: 0.2559 0.7480 0.7480
O: 0.7441 0.2520 0.2520
O: 0.7480 0.2559 0.7480
O: 0.7480 0.7480 0.2559
O: 0.7480 0.7480 0.7480

- calculated volume (Å³ per atom) = 10.02

<b>
Entry from the Materials Project database: a geometry-optimized AlCu2O4 structure (PBE).

Cell lengths 6.1159, 6.1159, 6.1159 Å; angles 129.60, 129.60, 74.05 degrees
Positions (direct):
Al: 0.3750 0.1250 0.2500
Al: 0.6250 0.8750 0.7500
Cu: 0.0000 0.0000 0.5000
Cu: 0.0000 0.5000 0.0000
Cu: 0.0000 0.5000 0.5000
Cu: 0.5000 0.5000 0.0000
O: 0.0262 0.9058 0.7579
O: 0.2316 0.4738 0.3796
O: 0.3520 0.7316 0.2579
O: 0.4058 0.1480 0.8796
O: 0.5942 0.8520 0.1204
O: 0.6480 0.2684 0.7421
O: 0.7684 0.5262 0.6204
O: 0.9738 0.0942 0.2421

- calculated volume (Å³ per atom) = 9.46

Pick <a>: it beats the second-best structure by 4.7 kJ/mol of atoms.

<a>
Entry from the Materials Project database: a geometry-optimized Sr2AlCu3O7 structure (PBE).

Cell lengths 5.2992, 5.3600, 12.1172 Å; angles 102.70, 102.61, 90.05 degrees
Positions (direct):
Sr: 0.0000 0.0000 0.0000
Sr: 0.1941 0.1940 0.3958
Sr: 0.4912 0.5008 0.0004
Sr: 0.6876 0.6953 0.3951
Al: 0.3451 0.3452 0.6979
Al: 0.8544 0.8488 0.6973
Cu: 0.0398 0.5724 0.1978
Cu: 0.2865 0.7836 0.5776
Cu: 0.4100 0.9103 0.8171
Cu: 0.6516 0.0734 0.1977
Cu: 0.7842 0.2862 0.5780
Cu: 0.9058 0.4110 0.8175
O: 0.0180 0.5223 0.0368
O: 0.0818 0.0832 0.8080
O: 0.1115 0.1114 0.5902
O: 0.1776 0.6811 0.3591
O: 0.2226 0.5837 0.8048
O: 0.4649 0.4647 0.5874
O: 0.5141 0.0215 0.0370
O: 0.5778 0.2304 0.8087
O: 0.6136 0.9694 0.5903
O: 0.6738 0.1805 0.3585
O: 0.7073 0.7297 0.1978
O: 0.7253 0.7285 0.8052
O: 0.9660 0.6128 0.5865
O: 0.9916 0.2279 0.1979

- calculated volume (Å³ per atom) = 12.59

<b>
Entry from the Materials Project database: a geometry-optimized Sr2AlCu3O7 structure (PBE).

Cell lengths 5.3091, 5.3571, 12.0591 Å; angles 102.81, 102.70, 90.08 degrees
Positions (direct):
Sr: 0.0000 0.0000 0.0000
Sr: 0.1956 0.1946 0.3962
Sr: 0.4922 0.4999 0.0001
Sr: 0.6893 0.6951 0.3960
Al: 0.3443 0.3493 0.6982
Al: 0.8505 0.8523 0.6979
Cu: 0.0420 0.5758 0.1981
Cu: 0.2854 0.7871 0.5771
Cu: 0.4088 0.9123 0.8189
Cu: 0.6483 0.0756 0.1980
Cu: 0.7836 0.2887 0.5771
Cu: 0.9061 0.4132 0.8188
O: 0.0178 0.5235 0.0369
O: 0.0802 0.0857 0.8087
O: 0.1121 0.1148 0.5899
O: 0.1784 0.6829 0.3599
O: 0.2237 0.5847 0.8072
O: 0.4652 0.4692 0.5874
O: 0.5125 0.0226 0.0367
O: 0.5780 0.2299 0.8077
O: 0.6135 0.9713 0.5887
O: 0.6724 0.1824 0.3595
O: 0.7053 0.7326 0.1983
O: 0.7248 0.7291 0.8062
O: 0.9674 0.6160 0.5882
O: 0.9865 0.2325 0.1982

- calculated volume (Å³ per atom) = 12.53

Pick <a>: it beats the second-best structure by 0.6 kJ/mol of atoms.